1.
The following is a DFT calculation (PBE-GGA) of a geometry-optimized Tb3MnB7 structure.

The structure in POSCAR format:
```
Tb3MnB7
1.0
1.727 -7.901 0.000
1.727 7.901 0.000
0.000 0.000 9.348
Tb Mn B
6 2 14
direct
0.104 0.896 0.559
0.104 0.896 0.941
0.241 0.759 0.250
0.759 0.241 0.750
0.896 0.104 0.059
0.896 0.104 0.441
0.054 0.946 0.250
0.946 0.054 0.750
0.273 0.727 0.532
0.273 0.727 0.968
0.370 0.630 0.653
0.370 0.630 0.847
0.460 0.540 0.250
0.478 0.522 0.599
0.478 0.522 0.901
0.522 0.478 0.099
0.522 0.478 0.401
0.540 0.460 0.750
0.630 0.370 0.153
0.630 0.370 0.347
0.727 0.273 0.032
0.727 0.273 0.468
```

Space-group type: Cmcm, No. 63
M_tot (μB/f.u.): 0.00
Electronic total energy (eV per atom): -6.926
Energy of formation (eV per atom): -0.579

2.
The following is a DFT calculation (PBE-GGA) of a geometry-optimized TbMnB4 structure.

The structure in POSCAR format:
```
TbMnB4
1.0
5.919 0.000 0.000
0.000 11.448 0.000
0.000 0.000 3.420
Tb Mn B
4 4 16
direct
0.126 0.151 0.000
0.374 0.651 0.000
0.626 0.349 0.000
0.874 0.849 0.000
0.128 0.416 0.000
0.372 0.916 0.000
0.628 0.084 0.000
0.872 0.584 0.000
0.024 0.690 0.500
0.112 0.546 0.500
0.138 0.968 0.500
0.219 0.816 0.500
0.281 0.316 0.500
0.362 0.468 0.500
0.388 0.046 0.500
0.476 0.190 0.500
0.524 0.810 0.500
0.612 0.954 0.500
0.638 0.532 0.500
0.719 0.684 0.500
0.781 0.184 0.500
0.862 0.032 0.500
0.888 0.454 0.500
0.976 0.310 0.500
```

Space-group type: Pbam, No. 55
Electronic total energy (eV per atom): -7.394
Energy of formation (eV per atom): -0.642

3.
The following is a DFT calculation (PBE-GGA) of a geometry-optimized UMnB4 structure.

The structure in POSCAR format:
```
UMnB4
1.0
5.849 0.000 0.000
0.000 11.356 0.000
0.000 0.000 3.433
U Mn B
4 4 16
direct
0.126 0.150 0.000
0.374 0.650 0.000
0.626 0.350 0.000
0.874 0.850 0.000
0.135 0.409 0.000
0.365 0.909 0.000
0.635 0.091 0.000
0.865 0.591 0.000
0.027 0.691 0.500
0.114 0.546 0.500
0.136 0.966 0.500
0.217 0.813 0.500
0.283 0.313 0.500
0.364 0.466 0.500
0.386 0.046 0.500
0.473 0.191 0.500
0.527 0.809 0.500
0.614 0.954 0.500
0.636 0.534 0.500
0.717 0.687 0.500
0.783 0.187 0.500
0.864 0.034 0.500
0.886 0.454 0.500
0.973 0.309 0.500
```

Space-group type: Pbam, No. 55
M_tot (μB/f.u.): 0.24
Electronic total energy (eV per atom): -8.450
Energy of formation (eV per atom): -0.588

4.
The following is a DFT calculation (PBE-GGA) of a geometry-optimized YMnB4 structure.

The structure in POSCAR format:
```
YMnB4
1.0
5.921 0.000 0.000
0.000 11.449 0.000
0.000 0.000 3.414
Y Mn B
4 4 16
direct
0.126 0.151 0.000
0.374 0.651 0.000
0.626 0.349 0.000
0.874 0.849 0.000
0.128 0.416 0.000
0.372 0.916 0.000
0.628 0.084 0.000
0.872 0.584 0.000
0.024 0.691 0.500
0.112 0.546 0.500
0.138 0.968 0.500
0.219 0.816 0.500
0.281 0.316 0.500
0.362 0.468 0.500
0.388 0.046 0.500
0.476 0.191 0.500
0.524 0.809 0.500
0.612 0.954 0.500
0.638 0.532 0.500
0.719 0.684 0.500
0.781 0.184 0.500
0.862 0.032 0.500
0.888 0.454 0.500
0.976 0.309 0.500
```

Space-group type: Pbam, No. 55
Electronic total energy (eV per atom): -7.703
Energy of formation (eV per atom): -0.645

5.
The following is a DFT calculation (PBE-GGA) of a geometry-optimized B4Mo structure.

The structure in POSCAR format:
```
B4Mo
1.0
5.321 0.000 0.000
-2.661 4.609 0.000
0.000 0.000 6.541
B Mo
16 4
direct
0.000 0.336 0.000
0.000 0.336 0.500
0.000 0.664 0.000
0.000 0.664 0.500
0.333 0.667 0.121
0.333 0.667 0.379
0.336 0.000 0.000
0.336 0.000 0.500
0.336 0.336 0.000
0.336 0.336 0.500
0.664 0.000 0.000
0.664 0.000 0.500
0.664 0.664 0.000
0.664 0.664 0.500
0.667 0.333 0.621
0.667 0.333 0.879
0.000 0.000 0.250
0.000 0.000 0.750
0.333 0.667 0.750
0.667 0.333 0.250
```

Space-group type: P6_3/mmc, No. 194
M_tot (μB/f.u.): 0.01
Electronic total energy (eV per atom): -7.239
Energy of formation (eV per atom): 0.273
Excess energy over the best structure of this formula in the dataset (meV per atom): 274.3

6.
The following is a DFT calculation (PBE-GGA) of a geometry-optimized BMo2 structure.

The structure in POSCAR format:
```
BMo2
1.0
-2.780 2.780 2.390
2.780 -2.780 2.390
2.780 2.780 -2.390
B Mo
2 4
direct
0.250 0.250 0.000
0.750 0.750 0.000
0.169 0.669 0.838
0.331 0.169 0.500
0.669 0.831 0.500
0.831 0.331 0.162
```

Space-group type: I4/mcm, No. 140
Electronic total energy (eV per atom): -9.773
Energy of formation (eV per atom): -0.316

7.
The following is a DFT calculation (PBE-GGA) of a geometry-optimized BMo structure.

The structure in POSCAR format:
```
BMo
1.0
-1.566 1.566 8.528
1.566 -1.566 8.528
1.566 1.566 -8.528
B Mo
4 4
direct
0.030 0.280 0.750
0.280 0.030 0.250
0.720 0.970 0.750
0.970 0.720 0.250
0.178 0.428 0.750
0.428 0.178 0.250
0.572 0.822 0.750
0.822 0.572 0.250
```

Space-group type: I4_1/amd, No. 141
Electronic total energy (eV per atom): -9.265
Energy of formation (eV per atom): -0.502
Excess energy over the best structure of this formula in the dataset (meV per atom): 0.0

8.
The following is a DFT calculation (PBE-GGA) of a geometry-optimized B2Mo3 structure.

The structure in POSCAR format:
```
B2Mo3
1.0
6.065 0.000 0.000
0.000 6.065 0.000
0.000 0.000 3.144
B Mo
4 6
direct
0.112 0.388 0.000
0.388 0.888 0.000
0.612 0.112 0.000
0.888 0.612 0.000
0.000 0.000 0.000
0.172 0.672 0.500
0.328 0.172 0.500
0.500 0.500 0.000
0.672 0.828 0.500
0.828 0.328 0.500
```

Space-group type: P4/mbm, No. 127
Electronic total energy (eV per atom): -9.549
Energy of formation (eV per atom): -0.370

9.
The following is a DFT calculation (PBE-GGA) of a geometry-optimized B4Mo structure.

The structure in POSCAR format:
```
B4Mo
1.0
5.516 0.000 0.000
-2.758 4.777 0.000
0.000 0.000 5.167
B Mo
12 3
direct
0.000 0.340 0.215
0.000 0.340 0.785
0.000 0.660 0.215
0.000 0.660 0.785
0.340 0.000 0.215
0.340 0.000 0.785
0.340 0.340 0.215
0.340 0.340 0.785
0.660 0.000 0.215
0.660 0.000 0.785
0.660 0.660 0.215
0.660 0.660 0.785
0.000 0.000 0.000
0.333 0.667 0.500
0.667 0.333 0.500
```

Space-group type: P6/mmm, No. 191
M_tot (μB/f.u.): 0.00
Electronic total energy (eV per atom): -7.514
Energy of formation (eV per atom): -0.001
Excess energy over the best structure of this formula in the dataset (meV per atom): 0.0

10.
The following is a DFT calculation (PBE-GGA) of a geometry-optimized B3Mo structure.

The structure in POSCAR format:
```
B3Mo
1.0
2.614 1.509 3.128
-2.614 1.509 3.128
0.000 -3.018 3.128
B Mo
6 2
direct
0.000 0.335 0.665
0.000 0.665 0.335
0.335 0.000 0.665
0.335 0.665 0.000
0.665 0.000 0.335
0.665 0.335 0.000
0.165 0.165 0.165
0.835 0.835 0.835
```

Space-group type: R-3m, No. 166
Electronic total energy (eV per atom): -8.036
Energy of formation (eV per atom): -0.315

11.
The following is a DFT calculation (PBE-GGA) of a geometry-optimized BMo structure.

The structure in POSCAR format:
```
BMo
1.0
1.582 -4.270 0.000
1.582 4.270 0.000
0.000 0.000 3.096
B Mo
2 2
direct
0.059 0.941 0.750
0.941 0.059 0.250
0.356 0.644 0.750
0.644 0.356 0.250
```

Space-group type: Cmcm, No. 63
Electronic total energy (eV per atom): -9.255
Energy of formation (eV per atom): -0.492
Excess energy over the best structure of this formula in the dataset (meV per atom): 9.9

12.
The following is a DFT calculation (PBE-GGA) of a geometry-optimized NbB4Mo3 structure.

The structure in POSCAR format:
```
NbB4Mo3
1.0
6.216 0.000 0.000
0.000 1.603 4.298
0.000 -1.603 4.298
Nb B Mo
1 4 3
direct
0.000 0.000 0.000
0.000 0.294 0.294
0.252 0.412 0.412
0.500 0.293 0.293
0.748 0.412 0.412
0.254 0.709 0.709
0.500 0.998 0.998
0.746 0.709 0.709
```

Space-group type: Amm2, No. 38
Electronic total energy (eV per atom): -9.233
Energy of formation (eV per atom): -0.564